First-principles (PBE) data for a relaxed structure of BaEr2O4, as listed in the Materials Project database.

The structure in POSCAR format:
```
BaEr2O4
1.0
0.0000 -3.4501 0.0000
-10.4615 0.0000 0.0000
0.0000 0.0000 -12.1433
Ba Er O
4 8 16
Direct
0.7500 0.2535 0.1490
0.7500 0.7535 0.3510
0.2500 0.7465 0.8510
0.2500 0.2465 0.6490
0.7500 0.4219 0.8915
0.7500 0.9219 0.6085
0.2500 0.5781 0.1085
0.2500 0.0781 0.3915
0.7500 0.9276 0.1111
0.7500 0.4276 0.3889
0.2500 0.0724 0.8889
0.2500 0.5724 0.6111
0.7500 0.2088 0.8421
0.7500 0.7088 0.6579
0.2500 0.7912 0.1579
0.2500 0.2912 0.3421
0.7500 0.1139 0.5177
0.7500 0.6139 0.9823
0.2500 0.8861 0.4823
0.2500 0.3861 0.0177
0.7500 0.0195 0.2832
0.7500 0.5195 0.2168
0.2500 0.9805 0.7168
0.2500 0.4805 0.7832
0.7500 0.4300 0.5733
0.7500 0.9300 0.9267
0.2500 0.5700 0.4267
0.2500 0.0700 0.0733
```

Results
As for the space group: Pnma, No. 62. The total DFT energy (no corrections) comes out at -54.101 eV/f.u. For the formation energy, the calculation gives -85.7 kcal/mol of atoms.



First-principles (PBE) data for a relaxed structure of Ba2ErPaO6, as listed in the Materials Project database.

The structure in POSCAR format:
```
Ba2ErPaO6
1.0
1.5739 5.0485 3.3161
6.0177 1.3635 0.9426
2.5664 4.9274 -2.8451
Ba Er Pa O
2 1 1 6
Direct
0.7500 0.7500 0.7500
0.2500 0.2500 0.2500
0.5000 0.5000 0.5000
0.0000 0.0000 0.0000
0.7529 0.7529 0.2471
0.2471 0.2471 0.7529
0.7529 0.2471 0.7529
0.2471 0.7529 0.2471
0.2471 0.7529 0.7529
0.7529 0.2471 0.2471
```

Results
As for the space group: Fm-3m, No. 225. The total DFT energy (no corrections) comes out at -81.148 eV/f.u. For the formation energy, the calculation gives -86.8 kcal/mol of atoms.



First-principles (PBE) data for a relaxed structure of Ba17Er16Zn8Pt4O57, as listed in the Materials Project database.

The structure in POSCAR format:
```
Ba17Er16Zn8Pt4O57
1.0
-11.5139 11.5139 2.8705
11.5139 -11.5139 2.8705
11.5139 11.5139 -2.8705
Ba Er Zn Pt O
17 16 8 4 57
Direct
0.7321 0.8109 0.5430
0.2679 0.1891 0.4570
0.8109 0.2679 0.0788
0.9324 0.5582 0.4906
0.0676 0.4418 0.5094
0.1117 0.2759 0.3876
0.6572 0.3504 0.0076
0.3504 0.3428 0.6931
0.7241 0.1117 0.8358
0.4418 0.9324 0.3742
0.2759 0.8883 0.1642
0.6496 0.6572 0.3069
0.5582 0.0676 0.6258
0.3428 0.6496 0.9924
0.0000 0.0000 0.0000
0.1891 0.7321 0.9212
0.8883 0.7241 0.6124
0.7490 0.4937 0.2427
0.4006 0.5116 0.9123
0.5063 0.7490 0.2553
0.6744 0.9504 0.6247
0.0496 0.6744 0.7240
0.4884 0.4006 0.8890
0.4937 0.2510 0.7447
0.9480 0.1719 0.1199
0.9504 0.3256 0.2760
0.2510 0.5063 0.7573
0.0520 0.8281 0.8801
0.3256 0.0496 0.3753
0.1719 0.0520 0.2239
0.5994 0.4884 0.0877
0.5116 0.5994 0.1110
0.8281 0.9480 0.7761
0.2121 0.3796 0.5917
0.9245 0.8671 0.7916
0.1329 0.9245 0.0573
0.0755 0.1329 0.2084
0.7879 0.6204 0.4083
0.8671 0.0755 0.9427
0.3796 0.7879 0.1676
0.6204 0.2121 0.8324
0.1444 0.5826 0.7270
0.4174 0.1444 0.5618
0.5826 0.8556 0.4382
0.8556 0.4174 0.2730
0.1616 0.1867 0.8455
0.4010 0.6338 0.5214
0.1766 0.4949 0.1762
0.7683 0.3926 0.1609
0.5051 0.6813 0.6817
0.5902 0.2367 0.3104
0.8133 0.6588 0.9750
0.8234 0.5051 0.8238
0.1584 0.8423 0.0007
0.1124 0.8796 0.4786
0.9255 0.7226 0.1480
0.1867 0.3412 0.0250
0.6074 0.7683 0.3758
0.6813 0.9996 0.1762
0.3187 0.0004 0.8238
0.0004 0.1766 0.6817
0.9263 0.2798 0.6896
0.3412 0.3161 0.1545
0.0745 0.2774 0.8520
0.4949 0.3187 0.3183
0.2798 0.5902 0.3535
0.8876 0.1204 0.5214
0.6588 0.6839 0.8455
0.3161 0.1616 0.9750
0.8796 0.4010 0.7672
0.2394 0.2991 0.5385
0.3662 0.8876 0.7672
0.0547 0.5648 0.6194
0.8423 0.8416 0.6838
0.4352 0.0547 0.4899
0.2774 0.4254 0.2028
0.5000 0.5000 0.0000
0.8384 0.8133 0.1545
0.1204 0.5990 0.2328
0.1577 0.1584 0.3162
0.6338 0.1124 0.2328
0.4254 0.2225 0.1480
0.7606 0.7009 0.4615
0.3926 0.2317 0.6242
0.0737 0.7202 0.3104
0.2367 0.9263 0.6465
0.8416 0.1577 0.9993
0.6839 0.8384 0.0250
0.5990 0.3662 0.4786
0.7633 0.0737 0.3535
0.9453 0.4352 0.3806
0.7202 0.4098 0.6465
0.7775 0.9255 0.2028
0.2225 0.0745 0.7972
0.4098 0.7633 0.6896
0.2317 0.6074 0.8391
0.5746 0.7775 0.8520
0.5648 0.9453 0.5101
0.7009 0.2394 0.9403
0.9996 0.8234 0.3183
0.7226 0.5746 0.7972
0.2991 0.7606 0.0597
```

Results
As for the space group: I4/m, No. 87. The total DFT energy (no corrections) comes out at -689.341 eV/f.u. For the formation energy, the calculation gives -69.3 kcal/mol of atoms.



First-principles (PBE) data for a relaxed structure of Ba2ErSbO6, as listed in the Materials Project database.

The structure in POSCAR format:
```
Ba2ErSbO6
1.0
-1.7458 -4.4523 3.6234
-2.1596 1.2455 5.4576
-5.8291 -0.8013 1.1745
Ba Er Sb O
2 1 1 6
Direct
0.7500 0.7500 0.7500
0.2500 0.2500 0.2500
0.0000 0.0000 0.0000
0.5000 0.5000 0.5000
0.7380 0.2620 0.7380
0.2620 0.2620 0.7380
0.7380 0.7380 0.2620
0.7380 0.2620 0.2620
0.2620 0.7380 0.2620
0.2620 0.7380 0.7380
```

Results
As for the space group: Fm-3m, No. 225. The total DFT energy (no corrections) comes out at -69.188 eV/f.u. For the formation energy, the calculation gives -71.7 kcal/mol of atoms.



First-principles (PBE) data for a relaxed structure of BaEr4Si5O17, as listed in the Materials Project database.

The structure in POSCAR format:
```
BaEr4Si5O17
1.0
-0.0145 -9.4837 17.4940
5.3927 -1.1690 -0.6293
3.4993 5.2325 2.8395
Ba Er Si O
2 8 10 34
Direct
0.2500 0.7580 0.8136
0.7500 0.2420 0.1864
0.0386 0.6983 0.1174
0.5386 0.3017 0.8826
0.9614 0.3017 0.8826
0.4614 0.6983 0.1174
0.1585 0.3528 0.4807
0.6585 0.6472 0.5193
0.8415 0.6472 0.5193
0.3415 0.3528 0.4807
0.2500 0.9360 0.2812
0.7500 0.0640 0.7188
0.1355 0.2296 0.0061
0.6355 0.7704 0.9939
0.8645 0.7704 0.9939
0.3645 0.2296 0.0061
0.0610 0.8034 0.5952
0.5610 0.1966 0.4048
0.9390 0.1966 0.4048
0.4390 0.8034 0.5952
0.2500 0.1366 0.4151
0.7500 0.8634 0.5849
0.2500 0.6416 0.4185
0.7500 0.3584 0.5815
0.1837 0.9818 0.1293
0.6837 0.0182 0.8707
0.8163 0.0182 0.8707
0.3163 0.9818 0.1293
0.1736 0.3624 0.7941
0.6736 0.6376 0.2059
0.8264 0.6376 0.2059
0.3264 0.3624 0.7941
0.0628 0.1021 0.9813
0.5628 0.8979 0.0187
0.9372 0.8979 0.0187
0.4372 0.1021 0.9813
0.1295 0.4228 0.1482
0.6295 0.5772 0.8518
0.8705 0.5772 0.8518
0.3705 0.4228 0.1482
0.1286 0.9599 0.6140
0.6286 0.0401 0.3860
0.8714 0.0401 0.3860
0.3714 0.9599 0.6140
0.0337 0.6252 0.8143
0.5337 0.3748 0.1857
0.9663 0.3748 0.1857
0.4663 0.6252 0.8143
0.0000 0.0000 0.5000
0.5000 0.0000 0.5000
0.0736 0.6297 0.4391
0.5736 0.3703 0.5609
0.9264 0.3703 0.5609
0.4264 0.6297 0.4391
```

Results
As for the space group: P2_1/m, No. 11. The total DFT energy (no corrections) comes out at -218.353 eV/f.u. For the formation energy, the calculation gives -84.2 kcal/mol of atoms.



First-principles (PBE) data for a relaxed structure of BaSr2Er6O12, as listed in the Materials Project database.

The structure in POSCAR format:
```
BaSr2Er6O12
1.0
-0.9911 -3.2350 -0.4871
3.9302 0.2305 -9.5268
5.8715 -2.9923 7.9265
Ba Sr Er O
1 2 6 12
Direct
0.7500 0.0000 0.0000
0.7500 0.6667 0.3334
0.2500 0.3333 0.6667
0.2500 0.3463 0.0000
0.2500 0.0000 0.3463
0.2500 0.6537 0.6537
0.7500 0.6512 0.0005
0.7500 0.9995 0.6507
0.7500 0.3493 0.3488
0.7500 0.3053 0.1128
0.7500 0.8872 0.1926
0.7500 0.8074 0.6947
0.2500 0.7094 0.8946
0.2500 0.1054 0.8148
0.2500 0.1852 0.2905
0.7500 0.3959 0.8743
0.7500 0.1257 0.5216
0.7500 0.4784 0.6041
0.2500 0.6021 0.1232
0.2500 0.8768 0.4789
0.2500 0.5211 0.3979
```

Results
As for the space group: P-6, No. 174. The total DFT energy (no corrections) comes out at -162.362 eV/f.u. For the formation energy, the calculation gives -86.2 kcal/mol of atoms.



First-principles (PBE) data for a relaxed structure of Ba2ErTaO6, as listed in the Materials Project database.

The structure in POSCAR format:
```
Ba2ErTaO6
1.0
4.0136 -2.8403 3.4567
-1.8616 -3.8498 4.2236
0.9230 -5.8985 -0.6931
Ba Er Ta O
2 1 1 6
Direct
0.2500 0.2500 0.2500
0.7500 0.7500 0.7500
0.5000 0.5000 0.5000
0.0000 0.0000 0.0000
0.7630 0.2370 0.2370
0.2370 0.7630 0.7630
0.2370 0.7630 0.2370
0.7630 0.2370 0.7630
0.2370 0.2370 0.7630
0.7630 0.7630 0.2370
```

Results
As for the space group: Fm-3m, No. 225. The total DFT energy (no corrections) comes out at -81.844 eV/f.u. For the formation energy, the calculation gives -83.1 kcal/mol of atoms.



First-principles (PBE) data for a relaxed structure of Ba2Er2Zn8O13, as listed in the Materials Project database.

The structure in POSCAR format:
```
Ba2Er2Zn8O13
1.0
3.1976 5.5722 0.0000
-3.1976 5.5722 0.0000
0.0000 0.1159 10.5698
Ba Er Zn O
2 2 8 13
Direct
0.1541 0.1541 0.0617
0.8330 0.8330 0.4912
0.1844 0.1844 0.6261
0.8325 0.8325 0.1424
0.1779 0.6086 0.8467
0.6086 0.1779 0.8467
0.8378 0.3284 0.3371
0.3284 0.8378 0.3371
0.5088 0.5088 0.0832
0.5034 0.5034 0.5796
0.6696 0.6696 0.8335
0.3325 0.3325 0.3264
0.5024 0.5024 0.2702
0.4997 0.4997 0.7703
0.6937 0.1703 0.0171
0.1703 0.6937 0.0171
0.3134 0.8408 0.5245
0.8408 0.3134 0.5245
0.9974 0.5052 0.7556
0.5052 0.9974 0.7556
0.9961 0.5033 0.2663
0.5033 0.9961 0.2663
0.6751 0.6751 0.0179
0.3366 0.3366 0.5130
0.9990 0.9990 0.2640
```

Results
As for the space group: Cm, No. 8. The total DFT energy (no corrections) comes out at -137.819 eV/f.u. For the formation energy, the calculation gives -54.8 kcal/mol of atoms.



First-principles (PBE) data for a relaxed structure of BaEr2ZnO5, as listed in the Materials Project database.

The structure in POSCAR format:
```
BaEr2ZnO5
1.0
-1.7903 0.4441 5.4189
4.7931 -4.8440 1.9805
8.2516 8.9786 1.9903
Ba Er Zn O
4 8 4 20
Direct
0.7500 0.0781 0.1017
0.7500 0.4219 0.6017
0.2500 0.5781 0.3983
0.2500 0.9219 0.8983
0.2500 0.4004 0.0744
0.7500 0.6193 0.2081
0.7500 0.8807 0.7081
0.2500 0.1193 0.2919
0.7500 0.5996 0.9256
0.7500 0.9004 0.4256
0.2500 0.0996 0.5744
0.2500 0.3807 0.7919
0.2500 0.8087 0.1501
0.7500 0.1913 0.8499
0.7500 0.3087 0.3499
0.2500 0.6913 0.6501
0.2500 0.4221 0.6012
0.7500 0.5779 0.3988
0.7500 0.9221 0.8988
0.2500 0.0779 0.1012
0.9994 0.8603 0.2754
0.4994 0.1397 0.7246
0.0006 0.3603 0.2246
0.5006 0.6397 0.7754
0.0006 0.1397 0.7246
0.5006 0.8603 0.2754
0.9994 0.6397 0.7754
0.4994 0.3603 0.2246
0.4996 0.6621 0.0662
0.9996 0.3379 0.9338
0.5004 0.1621 0.4338
0.0004 0.8379 0.5662
0.9996 0.1621 0.4338
0.4996 0.8379 0.5662
0.0004 0.6621 0.0662
0.5004 0.3379 0.9338
```

Results
As for the space group: Pnma, No. 62. The total DFT energy (no corrections) comes out at -63.166 eV/f.u. For the formation energy, the calculation gives -75.7 kcal/mol of atoms.